No. 1
# NdFe4B4 | Materials Project | PBE | optimized geometry
data_NdFe4B4
_chemical_formula_sum 'Nd2 Fe8 B8'
_symmetry_space_group_name_H-M 'P 42/n'
_symmetry_Int_Tables_number 86
_cell_length_a 7.0554
_cell_length_b 7.0554
_cell_length_c 3.8089
_cell_angle_alpha 90.00
_cell_angle_beta 90.00
_cell_angle_gamma 90.00
loop_
_symmetry_equiv_pos_as_xyz
'x,y,z'
'-x,-y,-z'
'-y,x+1/2,z+1/2'
'y,-x+1/2,-z+1/2'
'-x+1/2,-y+1/2,z'
'x+1/2,y+1/2,-z'
'y+1/2,-x,z+1/2'
'-y+1/2,x,-z+1/2'
loop_
_atom_site_label
_atom_site_fract_x
_atom_site_fract_y
_atom_site_fract_z
_atom_site_occupancy
Nd1 0.2500 0.2500 0.2500 1
Fe1 0.1180 0.8617 0.1426 1
B1 0.0483 0.5848 0.1444 1
# Total moment   1.85 μB/cell

No. 2
# H8PtO6 | Materials Project | PBE | optimized geometry
data_H8PtO6
_chemical_formula_sum 'H16 Pt2 O12'
_symmetry_space_group_name_H-M 'P 1'
_symmetry_Int_Tables_number 1
_cell_length_a 5.6115
_cell_length_b 5.7218
_cell_length_c 7.3541
_cell_angle_alpha 87.24
_cell_angle_beta 88.42
_cell_angle_gamma 81.51
loop_
_symmetry_equiv_pos_as_xyz
'x,y,z'
loop_
_atom_site_label
_atom_site_fract_x
_atom_site_fract_y
_atom_site_fract_z
_atom_site_occupancy
H1 0.0000 0.0000 0.0000 1
H2 0.0006 0.0033 0.3116 1
H3 0.0124 0.4280 0.1507 1
H4 0.1478 0.7937 0.7710 1
H5 0.2172 0.7108 0.3161 1
H6 0.2529 0.2156 0.4789 1
H7 0.2882 0.6615 0.5802 1
H8 0.2942 0.2832 0.1399 1
H9 0.3763 0.7538 0.0183 1
H10 0.5254 0.0678 0.8746 1
H11 0.5932 0.2412 0.2977 1
H12 0.6457 0.6589 0.9503 1
H13 0.6575 0.3647 0.7886 1
H14 0.7045 0.9565 0.5968 1
H15 0.7590 0.6178 0.6850 1
H16 0.9092 0.3995 0.3928 1
Pt1 0.1367 0.3270 0.7972 1
Pt2 0.6504 0.7914 0.2974 1
O1 0.0284 0.0150 0.8647 1
O2 0.0916 0.2505 0.5396 1
O3 0.1765 0.4029 0.0678 1
O4 0.2541 0.6434 0.7247 1
O5 0.3574 0.6531 0.3936 1
O6 0.4730 0.1297 0.3003 1
O7 0.4892 0.1933 0.7788 1
O8 0.5440 0.7839 0.0270 1
O9 0.7668 0.8005 0.5492 1
O10 0.7787 0.4902 0.8001 1
O11 0.8166 0.4513 0.2776 1
O12 0.9652 0.9035 0.2137 1
# Total moment   0.00 μB/cell
# E above lowest polymorph   0.0141 eV per atom
# Largest piezoelectric modulus   0.53 C/m2

No. 3
# NdTeBrO3 | Materials Project | PBE | optimized geometry
data_NdTeBrO3
_chemical_formula_sum 'Nd4 Te4 Br4 O12'
_symmetry_space_group_name_H-M 'P 4/n m m'
_symmetry_Int_Tables_number 129
_cell_length_a 3.9260
_cell_length_b 3.9260
_cell_length_c 27.9368
_cell_angle_alpha 90.00
_cell_angle_beta 90.00
_cell_angle_gamma 90.00
loop_
_symmetry_equiv_pos_as_xyz
'x,y,z'
'-x,-y,-z'
'-y+1/2,x,z'
'y+1/2,-x,-z'
'-x+1/2,-y+1/2,z'
'x+1/2,y+1/2,-z'
'y,-x+1/2,z'
'-y,x+1/2,-z'
'x+1/2,-y,-z'
'-x+1/2,y,z'
'-y,-x,-z'
'y,x,z'
'-x,y+1/2,-z'
'x,-y+1/2,z'
'y+1/2,x+1/2,-z'
'-y+1/2,-x+1/2,z'
loop_
_atom_site_label
_atom_site_fract_x
_atom_site_fract_y
_atom_site_fract_z
_atom_site_occupancy
Nd1 0.2500 0.2500 0.0443 1
Nd2 0.2500 0.2500 0.7111 1
Te1 0.2500 0.2500 0.2072 1
Te2 0.2500 0.2500 0.3806 1
Br1 0.2500 0.2500 0.5559 1
Br2 0.2500 0.2500 0.8961 1
O1 0.2500 0.2500 0.2786 1
O2 0.2500 0.7500 0.0000 1
O3 0.2500 0.7500 0.2248 1
O4 0.2500 0.7500 0.3471 1
# Total moment   0.00 μB/cell

No. 4
Computed, not measured: an optimized crystal structure of Rb5Hg19 at the PBE level of DFT.

```
data_Rb5Hg19
_chemical_formula_sum 'Rb10 Hg38'
_symmetry_space_group_name_H-M 'I 4/m'
_symmetry_Int_Tables_number 87
_symmetry_space_group_name_Hall '-I 4'
_cell_length_a 12.2952
_cell_length_b 12.2952
_cell_length_c 10.9564
_cell_angle_alpha 90.00
_cell_angle_beta 90.00
_cell_angle_gamma 90.00
loop_
_atom_site_label
_atom_site_fract_x
_atom_site_fract_y
_atom_site_fract_z
_atom_site_occupancy
Rb1 0.0000 0.0000 0.0000 1
Rb2 0.1203 0.6759 0.5000 1
Hg1 0.0000 0.0000 0.5000 1
Hg2 0.0000 0.5000 0.2500 1
Hg3 0.0796 0.1731 0.2862 1
Hg4 0.1132 0.7050 0.1405 1
```

Energy of formation? In order: -0.43, -1.15, -2.23, -0.21 eV/atom.